1.
# Ca2Mg r2SCAN relaxed
# * SG: No. 12
# * M_tot: 0.0 μB per formula unit
data_Ca2Mg
_chemical_formula_sum 'Ca4 Mg2'
_cell_length_a 7.5532
_cell_length_b 7.5532
_cell_length_c 7.7724
_cell_angle_alpha 75.05
_cell_angle_beta 75.05
_cell_angle_gamma 29.80
_space_group_name_H-M_alt 'P 1'
_space_group_IT_number 1
loop_
_space_group_symop_operation_xyz
'x,y,z'
loop_
_atom_site_label
_atom_site_type_symbol
_atom_site_fract_x
_atom_site_fract_y
_atom_site_fract_z
Ca1 Ca 0.8523 0.8523 0.0748
Ca2 Ca 0.1473 0.1473 0.4269
Ca3 Ca 0.8527 0.8527 0.5731
Ca4 Ca 0.1477 0.1477 0.9252
Mg1 Mg 0.5008 0.5008 0.2492
Mg2 Mg 0.4992 0.4992 0.7508

---

2.
# SiSnPt5 r2SCAN relaxed
# * SG: No. 123
# * M_tot: 0.0 μB per formula unit
data_SiSnPt5
_chemical_formula_sum 'Si1 Sn1 Pt5'
_cell_length_a 3.9830
_cell_length_b 3.9830
_cell_length_c 7.0431
_cell_angle_alpha 90.00
_cell_angle_beta 90.00
_cell_angle_gamma 90.00
_space_group_name_H-M_alt 'P 1'
_space_group_IT_number 1
loop_
_space_group_symop_operation_xyz
'x,y,z'
loop_
_atom_site_label
_atom_site_type_symbol
_atom_site_fract_x
_atom_site_fract_y
_atom_site_fract_z
Si1 Si 0.0000 0.0000 0.5000
Sn1 Sn 0.5000 0.5000 0.0000
Pt1 Pt 0.0000 0.5000 0.2956
Pt2 Pt 0.0000 0.5000 0.7044
Pt3 Pt 0.5000 0.0000 0.2956
Pt4 Pt 0.5000 0.0000 0.7044
Pt5 Pt 0.0000 0.0000 0.0000

---

3.
# Tc3Pd r2SCAN relaxed
# * SG: No. 194
# * M_tot: 0.0 μB per formula unit
data_Tc3Pd
_chemical_formula_sum 'Tc6 Pd2'
_cell_length_a 5.4995
_cell_length_b 5.4995
_cell_length_c 4.3706
_cell_angle_alpha 90.00
_cell_angle_beta 90.00
_cell_angle_gamma 120.00
_space_group_name_H-M_alt 'P 1'
_space_group_IT_number 1
loop_
_space_group_symop_operation_xyz
'x,y,z'
loop_
_atom_site_label
_atom_site_type_symbol
_atom_site_fract_x
_atom_site_fract_y
_atom_site_fract_z
Tc1 Tc 0.8425 0.1575 0.7500
Tc2 Tc 0.3151 0.1575 0.7500
Tc3 Tc 0.8425 0.6849 0.7500
Tc4 Tc 0.1575 0.8425 0.2500
Tc5 Tc 0.6849 0.8425 0.2500
Tc6 Tc 0.1575 0.3151 0.2500
Pd1 Pd 0.6667 0.3333 0.2500
Pd2 Pd 0.3333 0.6667 0.7500

---

4.
# NdMg3 r2SCAN relaxed
# * SG: No. 225
# * M_tot: 0.0 μB per formula unit
data_NdMg3
_chemical_formula_sum 'Nd1 Mg3'
_cell_length_a 5.2249
_cell_length_b 5.2249
_cell_length_c 5.2249
_cell_angle_alpha 60.00
_cell_angle_beta 60.00
_cell_angle_gamma 60.00
_space_group_name_H-M_alt 'P 1'
_space_group_IT_number 1
loop_
_space_group_symop_operation_xyz
'x,y,z'
loop_
_atom_site_label
_atom_site_type_symbol
_atom_site_fract_x
_atom_site_fract_y
_atom_site_fract_z
Nd1 Nd 0.0000 0.0000 0.0000
Mg1 Mg 0.7500 0.7500 0.7500
Mg2 Mg 0.5000 0.5000 0.5000
Mg3 Mg 0.2500 0.2500 0.2500

---

5.
# BaMg4Si3 r2SCAN relaxed
# * SG: No. 123
# * M_tot: 0.0 μB per formula unit
data_BaMg4Si3
_chemical_formula_sum 'Ba1 Mg4 Si3'
_cell_length_a 4.6096
_cell_length_b 4.6096
_cell_length_c 8.5993
_cell_angle_alpha 90.00
_cell_angle_beta 90.00
_cell_angle_gamma 90.00
_space_group_name_H-M_alt 'P 1'
_space_group_IT_number 1
loop_
_space_group_symop_operation_xyz
'x,y,z'
loop_
_atom_site_label
_atom_site_type_symbol
_atom_site_fract_x
_atom_site_fract_y
_atom_site_fract_z
Ba1 Ba 0.0000 0.0000 0.0000
Mg1 Mg 0.5000 0.0000 0.6832
Mg2 Mg 0.0000 0.5000 0.6832
Mg3 Mg 0.5000 0.0000 0.3168
Mg4 Mg 0.0000 0.5000 0.3168
Si1 Si 0.0000 0.0000 0.5000
Si2 Si 0.5000 0.5000 0.8574
Si3 Si 0.5000 0.5000 0.1426

---

6.
# V4OF11 r2SCAN relaxed
# * SG: No. 1
# * M_tot: 7.0 μB per formula unit
# * relative energy among the computed polymorphs: 0.000 eV/atom
data_V4OF11
_chemical_formula_sum 'V8 O2 F22'
_cell_length_a 5.0736
_cell_length_b 5.3065
_cell_length_c 16.8763
_cell_angle_alpha 88.14
_cell_angle_beta 98.76
_cell_angle_gamma 118.05
_space_group_name_H-M_alt 'P 1'
_space_group_IT_number 1
loop_
_space_group_symop_operation_xyz
'x,y,z'
loop_
_atom_site_label
_atom_site_type_symbol
_atom_site_fract_x
_atom_site_fract_y
_atom_site_fract_z
V1 V 0.2348 0.6151 0.8775
V2 V 0.2550 0.1224 0.3754
V3 V 0.4961 0.2466 0.7513
V4 V 0.5069 0.7461 0.2449
V5 V 0.7501 0.8724 0.6261
V6 V 0.7368 0.3989 0.1237
V7 V 0.9910 0.0286 0.9954
V8 V 0.0034 0.4983 0.5009
O1 O 0.0270 0.3060 0.9387
O2 O 0.5941 0.5872 0.1624
F1 F 0.0610 0.8377 0.9081
F2 F 0.0035 0.8042 0.4386
F3 F 0.4931 0.9428 0.8149
F4 F 0.0547 0.0231 0.7188
F5 F 0.0715 0.3380 0.4102
F6 F 0.0826 0.5375 0.2117
F7 F 0.5577 0.7825 0.9666
F8 F 0.4348 0.4173 0.8408
F9 F 0.4232 0.9008 0.3399
F10 F 0.4437 0.7232 0.5338
F11 F 0.4955 0.5508 0.6875
F12 F 0.4960 0.4433 0.3115
F13 F 0.5642 0.0869 0.6604
F14 F 0.5632 0.2727 0.4674
F15 F 0.4264 0.2050 0.0334
F16 F 0.9322 0.6545 0.5926
F17 F 0.9388 0.4713 0.7840
F18 F 0.9326 0.9716 0.2848
F19 F 0.5226 0.0651 0.1873
F20 F 0.9790 0.6926 0.0566
F21 F 0.0034 0.1920 0.5639
F22 F 0.9253 0.1657 0.0907

---

| no. | uncorrected energy (eV/cell) | calculated volume (Å³ per atom) | ΔH_f (0 K) (meV/atom) |
| --- | --- | --- | --- |
| 1 | -36.75 | 35.4 | -43 |
| 2 | -295.03 | 16.0 | -582 |
| 3 | -202.43 | 14.3 | -90 |
| 4 | -42.47 | 25.2 | -136 |
| 5 | -72.01 | 22.8 | -314 |
| 6 | -295.11 | 12.4 | -3177 |